An optimized crystal structure of YFeW2O8, computed with PBE with a Hubbard U.

Structure (CIF):
```
data_YFeW2O8
_space_group_name_H-M_alt 'P 1'
_space_group_IT_number 1
_cell_length_a 5.232
_cell_length_b 5.853
_cell_length_c 10.048
_cell_angle_alpha 89.68
_cell_angle_beta 86.28
_cell_angle_gamma 88.89
loop_
_space_group_symop_operation_xyz
'x,y,z'
loop_
_atom_site_label
_atom_site_fract_x
_atom_site_fract_y
_atom_site_fract_z
_atom_site_occupancy
Y1 0.000 0.000 0.000 1
Y2 0.495 0.352 0.519 1
Fe1 0.493 0.360 0.996 1
Fe2 0.999 0.983 0.522 1
W1 0.008 0.508 0.764 1
W2 0.494 0.841 0.265 1
W3 0.495 0.836 0.755 1
W4 0.997 0.505 0.254 1
O1 0.129 0.285 0.639 1
O2 0.153 0.310 0.131 1
O3 0.189 0.785 0.162 1
O4 0.205 0.758 0.643 1
O5 0.302 0.562 0.357 1
O6 0.306 0.580 0.874 1
O7 0.338 0.033 0.391 1
O8 0.374 0.055 0.882 1
O9 0.629 0.048 0.142 1
O10 0.653 0.040 0.616 1
O11 0.679 0.559 0.664 1
O12 0.698 0.576 0.154 1
O13 0.792 0.770 0.365 1
O14 0.827 0.786 0.854 1
O15 0.850 0.309 0.902 1
O16 0.861 0.300 0.376 1
```

Properties
M_tot in μB per cell: 10.00
Energy relative to the lowest polymorph listed for this composition in eV per atom: 0.002
Energy relative to the elements in eV/atom: -2.470
Space group: P1, No. 1

=====

An optimized crystal structure of Li4Cr3NiO8, computed with PBE with a Hubbard U.

Structure (CIF):
```
data_Li4Cr3NiO8
_space_group_name_H-M_alt 'P 1'
_space_group_IT_number 1
_cell_length_a 5.909
_cell_length_b 5.909
_cell_length_c 10.238
_cell_angle_alpha 89.98
_cell_angle_beta 73.29
_cell_angle_gamma 60.14
loop_
_space_group_symop_operation_xyz
'x,y,z'
loop_
_atom_site_label
_atom_site_fract_x
_atom_site_fract_y
_atom_site_fract_z
_atom_site_occupancy
Li1 0.004 0.248 0.248 1
Li2 0.009 0.744 0.250 1
Li3 0.492 0.750 0.253 1
Li4 0.495 0.257 0.249 1
Li5 0.505 0.743 0.751 1
Li6 0.508 0.250 0.747 1
Li7 0.991 0.256 0.750 1
Li8 0.996 0.752 0.752 1
Cr1 0.000 0.000 0.000 1
Cr2 0.000 0.500 0.000 1
Cr3 0.000 0.500 0.500 1
Cr4 0.500 0.000 0.000 1
Cr5 0.500 0.000 0.500 1
Cr6 0.500 0.500 0.500 1
Ni1 0.000 0.000 0.500 1
Ni2 0.500 0.500 0.000 1
O1 0.225 0.647 0.888 1
O2 0.240 0.129 0.887 1
O3 0.241 0.886 0.113 1
O4 0.247 0.622 0.385 1
O5 0.256 0.368 0.114 1
O6 0.258 0.128 0.388 1
O7 0.260 0.368 0.613 1
O8 0.276 0.871 0.611 1
O9 0.724 0.129 0.389 1
O10 0.740 0.632 0.387 1
O11 0.742 0.872 0.612 1
O12 0.744 0.632 0.886 1
O13 0.753 0.378 0.615 1
O14 0.759 0.114 0.887 1
O15 0.760 0.871 0.113 1
O16 0.775 0.353 0.112 1
```

Properties
M_tot in μB per cell: 20.00
Energy relative to the lowest polymorph listed for this composition in eV per atom: 0.002
Energy relative to the elements in eV/atom: -2.184
Space group: P-1, No. 2

=====

An optimized crystal structure of Li7Mn5O12, computed with PBE with a Hubbard U.

Structure (CIF):
```
data_Li7Mn5O12
_space_group_name_H-M_alt 'P 1'
_space_group_IT_number 1
_cell_length_a 6.017
_cell_length_b 6.512
_cell_length_c 6.519
_cell_angle_alpha 71.97
_cell_angle_beta 76.87
_cell_angle_gamma 65.98
loop_
_space_group_symop_operation_xyz
'x,y,z'
loop_
_atom_site_label
_atom_site_fract_x
_atom_site_fract_y
_atom_site_fract_z
_atom_site_occupancy
Li1 0.000 0.000 0.000 1
Li2 0.082 0.162 0.327 1
Li3 0.256 0.497 0.999 1
Li4 0.411 0.831 0.674 1
Li5 0.589 0.169 0.326 1
Li6 0.744 0.503 0.001 1
Li7 0.918 0.838 0.673 1
Mn1 0.171 0.327 0.669 1
Mn2 0.321 0.676 0.329 1
Mn3 0.500 0.000 0.000 1
Mn4 0.679 0.324 0.671 1
Mn5 0.829 0.673 0.331 1
O1 0.035 0.107 0.662 1
O2 0.163 0.232 0.984 1
O3 0.221 0.424 0.344 1
O4 0.303 0.570 0.650 1
O5 0.382 0.758 0.013 1
O6 0.440 0.920 0.314 1
O7 0.560 0.080 0.686 1
O8 0.618 0.242 0.987 1
O9 0.697 0.430 0.350 1
O10 0.779 0.576 0.656 1
O11 0.837 0.768 0.016 1
O12 0.965 0.893 0.338 1
```

Properties
M_tot in μB per cell: 18.00
Energy relative to the lowest polymorph listed for this composition in eV per atom: 0.024
Energy relative to the elements in eV/atom: -2.133
Space group: P-1, No. 2

=====

An optimized crystal structure of Li2MnCuP2O8, computed with PBE with a Hubbard U.

Structure (CIF):
```
data_Li2MnCuP2O8
_space_group_name_H-M_alt 'P 1'
_space_group_IT_number 1
_cell_length_a 4.776
_cell_length_b 6.147
_cell_length_c 10.278
_cell_angle_alpha 90.00
_cell_angle_beta 91.97
_cell_angle_gamma 90.00
loop_
_space_group_symop_operation_xyz
'x,y,z'
loop_
_atom_site_label
_atom_site_fract_x
_atom_site_fract_y
_atom_site_fract_z
_atom_site_occupancy
Li1 0.000 0.000 0.000 1
Li2 0.000 0.500 0.000 1
Li3 0.500 0.000 0.500 1
Li4 0.500 0.500 0.500 1
Mn1 0.021 0.250 0.281 1
Mn2 0.979 0.750 0.719 1
Cu1 0.446 0.250 0.785 1
Cu2 0.554 0.750 0.215 1
P1 0.088 0.750 0.401 1
P2 0.425 0.750 0.912 1
P3 0.575 0.250 0.088 1
P4 0.912 0.250 0.599 1
O1 0.208 0.750 0.544 1
O2 0.217 0.546 0.335 1
O3 0.217 0.954 0.335 1
O4 0.238 0.250 0.607 1
O5 0.254 0.250 0.091 1
O6 0.284 0.550 0.840 1
O7 0.284 0.950 0.840 1
O8 0.310 0.750 0.053 1
O9 0.690 0.250 0.947 1
O10 0.716 0.050 0.160 1
O11 0.716 0.450 0.160 1
O12 0.746 0.750 0.909 1
O13 0.762 0.750 0.393 1
O14 0.783 0.046 0.665 1
O15 0.783 0.454 0.665 1
O16 0.792 0.250 0.456 1
```

Properties
M_tot in μB per cell: 11.72
Energy relative to the elements in eV/atom: -2.402
Space group: P2_1/m, No. 11

=====

An optimized crystal structure of Sr4MgV3O10, computed with PBE with a Hubbard U.

Structure (CIF):
```
data_Sr4MgV3O10
_space_group_name_H-M_alt 'P 1'
_space_group_IT_number 1
_cell_length_a 3.930
_cell_length_b 3.930
_cell_length_c 17.738
_cell_angle_alpha 96.23
_cell_angle_beta 96.23
_cell_angle_gamma 90.13
loop_
_space_group_symop_operation_xyz
'x,y,z'
loop_
_atom_site_label
_atom_site_fract_x
_atom_site_fract_y
_atom_site_fract_z
_atom_site_occupancy
Sr1 0.000 0.000 0.000 1
Sr2 0.574 0.574 0.151 1
Sr3 0.672 0.672 0.351 1
Sr4 0.894 0.894 0.792 1
Mg1 0.793 0.793 0.582 1
V1 0.125 0.125 0.255 1
V2 0.322 0.322 0.640 1
V3 0.447 0.447 0.897 1
O1 0.070 0.070 0.143 1
O2 0.125 0.625 0.255 1
O3 0.179 0.179 0.364 1
O4 0.304 0.804 0.603 1
O5 0.373 0.373 0.746 1
O6 0.440 0.941 0.884 1
O7 0.505 0.505 0.012 1
O8 0.625 0.125 0.255 1
O9 0.804 0.304 0.603 1
O10 0.941 0.440 0.884 1
```

Properties
M_tot in μB per cell: 4.99
Energy relative to the lowest polymorph listed for this composition in eV per atom: 0.000
Energy relative to the elements in eV/atom: -2.794
Space group: Cm, No. 8

=====

An optimized crystal structure of CaV6O11F, computed with PBE with a Hubbard U.

Structure (CIF):
```
data_CaV6O11F
_space_group_name_H-M_alt 'P 1'
_space_group_IT_number 1
_cell_length_a 5.168
_cell_length_b 5.385
_cell_length_c 8.601
_cell_angle_alpha 87.72
_cell_angle_beta 88.36
_cell_angle_gamma 75.11
loop_
_space_group_symop_operation_xyz
'x,y,z'
loop_
_atom_site_label
_atom_site_fract_x
_atom_site_fract_y
_atom_site_fract_z
_atom_site_occupancy
Ca1 0.000 0.000 0.000 1
V1 0.253 0.970 0.513 1
V2 0.433 0.160 0.194 1
V3 0.436 0.160 0.818 1
V4 0.811 0.562 0.015 1
V5 0.852 0.571 0.349 1
V6 0.856 0.569 0.686 1
O1 0.035 0.754 0.513 1
O2 0.142 0.241 0.672 1
O3 0.154 0.246 0.352 1
O4 0.195 0.310 0.018 1
O5 0.520 0.872 0.349 1
O6 0.521 0.864 0.676 1
O7 0.548 0.918 0.015 1
O8 0.670 0.350 0.190 1
O9 0.693 0.366 0.852 1
O10 0.985 0.709 0.178 1
O11 0.994 0.711 0.830 1
F1 0.675 0.415 0.527 1
```

Properties
M_tot in μB per cell: 9.01
Energy relative to the lowest polymorph listed for this composition in eV per atom: 0.000
Energy relative to the elements in eV/atom: -2.519
Space group: P1, No. 1

=====

An optimized crystal structure of Ni5P4O16, computed with PBE with a Hubbard U.

Structure (CIF):
```
data_Ni5P4O16
_space_group_name_H-M_alt 'P 1'
_space_group_IT_number 1
_cell_length_a 5.067
_cell_length_b 8.252
_cell_length_c 14.694
_cell_angle_alpha 98.86
_cell_angle_beta 98.11
_cell_angle_gamma 90.25
loop_
_space_group_symop_operation_xyz
'x,y,z'
loop_
_atom_site_label
_atom_site_fract_x
_atom_site_fract_y
_atom_site_fract_z
_atom_site_occupancy
Ni1 0.000 0.000 0.000 1
Ni2 0.016 0.353 0.119 1
Ni3 0.055 0.026 0.703 1
Ni4 0.447 0.475 0.797 1
Ni5 0.482 0.147 0.382 1
Ni6 0.500 0.500 0.500 1
Ni7 0.518 0.853 0.618 1
Ni8 0.553 0.525 0.203 1
Ni9 0.945 0.974 0.297 1
Ni10 0.984 0.647 0.881 1
P1 0.032 0.625 0.649 1
P2 0.042 0.320 0.894 1
P3 0.460 0.180 0.606 1
P4 0.469 0.875 0.850 1
P5 0.531 0.125 0.150 1
P6 0.540 0.820 0.394 1
P7 0.958 0.680 0.106 1
P8 0.968 0.375 0.351 1
O1 0.055 0.247 0.985 1
O2 0.069 0.190 0.813 1
O3 0.100 0.573 0.748 1
O4 0.105 0.205 0.336 1
O5 0.161 0.501 0.413 1
O6 0.204 0.856 0.891 1
O7 0.209 0.572 0.124 1
O8 0.244 0.035 0.592 1
O9 0.260 0.464 0.908 1
O10 0.287 0.927 0.376 1
O11 0.297 0.642 0.609 1
O12 0.341 0.000 0.087 1
O13 0.392 0.295 0.165 1
O14 0.400 0.927 0.752 1
O15 0.431 0.310 0.687 1
O16 0.444 0.253 0.515 1
O17 0.556 0.747 0.485 1
O18 0.569 0.690 0.313 1
O19 0.600 0.073 0.248 1
O20 0.608 0.705 0.835 1
O21 0.659 0.000 0.913 1
O22 0.703 0.358 0.391 1
O23 0.713 0.073 0.624 1
O24 0.740 0.536 0.092 1
O25 0.756 0.965 0.408 1
O26 0.791 0.428 0.876 1
O27 0.796 0.144 0.109 1
O28 0.839 0.499 0.587 1
O29 0.895 0.795 0.664 1
O30 0.900 0.427 0.252 1
O31 0.931 0.810 0.187 1
O32 0.945 0.753 0.015 1
```

Properties
M_tot in μB per cell: 12.26
Energy relative to the lowest polymorph listed for this composition in eV per atom: 0.000
Energy relative to the elements in eV/atom: -2.031
Space group: P-1, No. 2

=====

An optimized crystal structure of Li4CrCo2Ni3P6O24, computed with PBE with a Hubbard U.

Structure (CIF):
```
data_Li4CrCo2Ni3P6O24
_space_group_name_H-M_alt 'P 1'
_space_group_IT_number 1
_cell_length_a 8.354
_cell_length_b 8.472
_cell_length_c 8.472
_cell_angle_alpha 62.99
_cell_angle_beta 63.23
_cell_angle_gamma 63.19
loop_
_space_group_symop_operation_xyz
'x,y,z'
loop_
_atom_site_label
_atom_site_fract_x
_atom_site_fract_y
_atom_site_fract_z
_atom_site_occupancy
Li1 0.000 0.000 0.000 1
Li2 0.105 0.501 0.877 1
Li3 0.478 0.709 0.295 1
Li4 0.895 0.082 0.502 1
Cr1 0.892 0.499 0.294 1
Co1 0.259 0.857 0.642 1
Co2 0.735 0.358 0.144 1
Ni1 0.102 0.705 0.500 1
Ni2 0.391 0.000 0.791 1
Ni3 0.606 0.209 0.001 1
P1 0.196 0.105 0.192 1
P2 0.302 0.604 0.097 1
P3 0.500 0.401 0.602 1
P4 0.695 0.905 0.399 1
P5 0.801 0.810 0.900 1
P6 0.999 0.305 0.697 1
O1 0.001 0.782 0.743 1
O2 0.067 0.458 0.671 1
O3 0.140 0.534 0.140 1
O4 0.147 0.105 0.716 1
O5 0.181 0.951 0.390 1
O6 0.204 0.045 0.043 1
O7 0.275 0.669 0.252 1
O8 0.297 0.765 0.909 1
O9 0.347 0.601 0.579 1
O10 0.358 0.168 0.143 1
O11 0.435 0.246 0.632 1
O12 0.497 0.450 0.075 1
O13 0.498 0.921 0.549 1
O14 0.569 0.368 0.754 1
O15 0.637 0.853 0.842 1
O16 0.653 0.428 0.398 1
O17 0.695 0.093 0.235 1
O18 0.736 0.742 0.335 1
O19 0.789 0.958 0.964 1
O20 0.821 0.608 0.054 1
O21 0.849 0.281 0.896 1
O22 0.850 0.876 0.470 1
O23 0.933 0.343 0.537 1
O24 0.993 0.262 0.224 1
```

Properties
M_tot in μB per cell: 14.00
Energy relative to the elements in eV/atom: -2.280
Space group: P1, No. 1

=====

An optimized crystal structure of Li7Co5O12, computed with PBE with a Hubbard U.

Structure (CIF):
```
data_Li7Co5O12
_space_group_name_H-M_alt 'P 1'
_space_group_IT_number 1
_cell_length_a 5.908
_cell_length_b 2.886
_cell_length_c 12.595
_cell_angle_alpha 90.00
_cell_angle_beta 103.26
_cell_angle_gamma 90.00
loop_
_space_group_symop_operation_xyz
'x,y,z'
loop_
_atom_site_label
_atom_site_fract_x
_atom_site_fract_y
_atom_site_fract_z
_atom_site_occupancy
Li1 0.000 0.000 0.000 1
Li2 0.000 0.500 0.500 1
Li3 0.164 0.000 0.332 1
Li4 0.321 0.500 0.158 1
Li5 0.500 0.000 0.000 1
Li6 0.679 0.500 0.842 1
Li7 0.836 0.000 0.668 1
Co1 0.165 0.500 0.840 1
Co2 0.329 0.000 0.668 1
Co3 0.500 0.500 0.500 1
Co4 0.671 0.000 0.332 1
Co5 0.835 0.500 0.160 1
O1 0.051 0.000 0.167 1
O2 0.099 0.500 0.677 1
O3 0.243 0.500 0.986 1
O4 0.261 0.000 0.505 1
O5 0.384 0.000 0.830 1
O6 0.432 0.500 0.337 1
O7 0.568 0.500 0.663 1
O8 0.616 0.000 0.170 1
O9 0.739 0.000 0.495 1
O10 0.757 0.500 0.014 1
O11 0.901 0.500 0.323 1
O12 0.949 0.000 0.833 1
```

Properties
M_tot in μB per cell: 2.00
Energy relative to the lowest polymorph listed for this composition in eV per atom: 0.052
Energy relative to the elements in eV/atom: -1.711
Space group: P2/m, No. 10

=====

An optimized crystal structure of NiAsO4, computed with PBE with a Hubbard U.

Structure (CIF):
```
data_NiAsO4
_space_group_name_H-M_alt 'P 1'
_space_group_IT_number 1
_cell_length_a 10.225
_cell_length_b 5.813
_cell_length_c 4.942
_cell_angle_alpha 90.00
_cell_angle_beta 90.00
_cell_angle_gamma 90.00
loop_
_space_group_symop_operation_xyz
'x,y,z'
loop_
_atom_site_label
_atom_site_fract_x
_atom_site_fract_y
_atom_site_fract_z
_atom_site_occupancy
Ni1 0.231 0.250 0.040 1
Ni2 0.269 0.750 0.540 1
Ni3 0.731 0.250 0.460 1
Ni4 0.769 0.750 0.960 1
As1 0.093 0.750 0.079 1
As2 0.407 0.250 0.579 1
As3 0.593 0.750 0.421 1
As4 0.907 0.250 0.921 1
O1 0.070 0.250 0.834 1
O2 0.105 0.750 0.734 1
O3 0.174 0.529 0.250 1
O4 0.174 0.971 0.250 1
O5 0.326 0.029 0.750 1
O6 0.326 0.471 0.750 1
O7 0.395 0.250 0.234 1
O8 0.430 0.750 0.334 1
O9 0.570 0.250 0.666 1
O10 0.605 0.750 0.766 1
O11 0.674 0.529 0.250 1
O12 0.674 0.971 0.250 1
O13 0.826 0.029 0.750 1
O14 0.826 0.471 0.750 1
O15 0.895 0.250 0.266 1
O16 0.930 0.750 0.166 1
```

Properties
M_tot in μB per cell: 4.00
Energy relative to the elements in eV/atom: -1.279
Space group: Pnma, No. 62

=====

An optimized crystal structure of Li2VC2O6, computed with PBE with a Hubbard U.

Structure (CIF):
```
data_Li2VC2O6
_space_group_name_H-M_alt 'P 1'
_space_group_IT_number 1
_cell_length_a 9.049
_cell_length_b 8.984
_cell_length_c 10.740
_cell_angle_alpha 53.73
_cell_angle_beta 53.17
_cell_angle_gamma 73.11
loop_
_space_group_symop_operation_xyz
'x,y,z'
loop_
_atom_site_label
_atom_site_fract_x
_atom_site_fract_y
_atom_site_fract_z
_atom_site_occupancy
Li1 0.234 0.253 0.544 1
Li2 0.247 0.753 0.429 1
Li3 0.253 0.234 0.969 1
Li4 0.281 0.706 0.997 1
Li5 0.679 0.821 0.497 1
Li6 0.706 0.281 0.016 1
Li7 0.753 0.247 0.571 1
Li8 0.821 0.679 0.003 1
V1 0.250 0.750 0.718 1
V2 0.532 0.968 0.000 1
V3 0.750 0.250 0.282 1
V4 0.968 0.532 0.500 1
C1 0.062 0.970 0.270 1
C2 0.436 0.527 0.310 1
C3 0.523 0.940 0.723 1
C4 0.527 0.436 0.727 1
C5 0.552 0.980 0.280 1
C6 0.940 0.523 0.814 1
C7 0.970 0.062 0.698 1
C8 0.980 0.552 0.188 1
O1 0.011 0.134 0.194 1
O2 0.048 0.647 0.012 1
O3 0.056 0.589 0.239 1
O4 0.075 0.649 0.699 1
O5 0.134 0.011 0.661 1
O6 0.238 0.956 0.202 1
O7 0.258 0.536 0.415 1
O8 0.362 0.488 0.795 1
O9 0.426 0.842 0.425 1
O10 0.455 0.895 0.888 1
O11 0.460 0.835 0.714 1
O12 0.488 0.362 0.355 1
O13 0.536 0.258 0.790 1
O14 0.551 0.674 0.175 1
O15 0.589 0.056 0.116 1
O16 0.647 0.048 0.294 1
O17 0.649 0.075 0.576 1
O18 0.674 0.551 0.601 1
O19 0.825 0.943 0.824 1
O20 0.835 0.460 0.992 1
O21 0.842 0.426 0.307 1
O22 0.895 0.455 0.762 1
O23 0.943 0.825 0.408 1
O24 0.956 0.238 0.603 1
```

Properties
M_tot in μB per cell: 12.00
Energy relative to the lowest polymorph listed for this composition in eV per atom: 0.019
Energy relative to the elements in eV/atom: -2.113
Space group: Fdd2, No. 43

=====

For the records above, the corresponding E values read -7.787, -6.429, -6.381, -6.711, -6.856, -7.500, -6.272, -6.547, -5.538, -5.436, -7.133 eV per atom.